## Ba2Mg2Tl2Sn3O10 (GGA-PBE)

Data for Ba2Mg2Tl2Sn3O10 after structural relaxation.

Output
E (MP2020) ... -5.894 eV per atom
Total DFT energy (no corrections) ... -5.532 eV per atom
Energy of formation ... -2.038 eV/atom
Calculated volume ... 325 Å³/f.u.

Cell: 3.9512 4.0509 20.4445 Å, 84.95 85.00 88.65°
Sites, in units of the cell vectors:
Ba 0.0000 0.0000 0.0000
Ba 0.2971 0.2924 0.3633
Mg 0.0980 0.0975 0.7756
Mg 0.2075 0.2707 0.5769
Tl 0.4241 0.4058 0.1227
Tl 0.8701 0.8592 0.2311
Sn 0.5640 0.5655 0.8536
Sn 0.6473 0.7247 0.6842
Sn 0.6992 0.7330 0.4928
O 0.0809 0.5769 0.8162
O 0.1526 0.0268 0.6757
O 0.1744 0.7558 0.5271
O 0.3768 0.2628 0.2380
O 0.5199 0.5309 0.9521
O 0.5793 0.0814 0.8189
O 0.5987 0.2332 0.4938
O 0.6713 0.4859 0.6017
O 0.7833 0.7695 0.3931
O 0.8614 0.8843 0.1136